*1*
This record from the Materials Project describes a relaxed structure of BaCa2I6. The functional is PBE.

a b c (Å): 8.071 7.485 15.655
angles (deg): 66.04 90.00 90.00
Atoms (fractional coordinates):
I 0.688 0.552 0.605
I 0.672 0.317 0.895
Ca 0.104 0.338 0.247
Ca 0.396 0.338 0.747
I 0.188 0.448 0.895
Ba 0.500 0.000 0.500
Ca 0.604 0.662 0.253
Ca 0.896 0.662 0.753
I 0.900 0.962 0.224
I 0.600 0.962 0.724
I 0.100 0.038 0.776
I 0.312 0.448 0.395
Ba 0.000 0.000 0.000
I 0.828 0.317 0.395
I 0.328 0.683 0.105
I 0.812 0.552 0.105
I 0.400 0.038 0.276
I 0.172 0.683 0.605

Computed properties:
The total moment comes out at 0.000 μB per formula unit.

*2*
This record from the Materials Project describes a relaxed structure of BaCa2I6. The functional is PBE.

a b c (Å): 13.136 13.136 8.733
angles (deg): 86.26 86.26 34.01
Atoms (fractional coordinates):
Ca 0.057 0.597 0.129
Ca 0.943 0.403 0.871
I 0.506 0.357 0.581
I 0.241 0.325 0.857
I 0.675 0.759 0.643
I 0.357 0.506 0.081
Ca 0.597 0.057 0.629
I 0.091 0.134 0.618
I 0.909 0.866 0.382
I 0.134 0.091 0.118
Ba 0.749 0.251 0.250
I 0.866 0.909 0.882
I 0.325 0.241 0.357
I 0.759 0.675 0.143
I 0.643 0.494 0.919
I 0.494 0.643 0.419
Ba 0.251 0.749 0.750
Ca 0.403 0.943 0.371

Computed properties:
The total moment comes out at 0.002 μB per formula unit.

*2* has the most favorable energy; the next structure is 0.024 eV/atom above.

*1*
This record from the Materials Project describes a relaxed structure of Li2WS4. The functional is PBE.

a b c (Å): 6.779 6.779 6.779
angles (deg): 126.68 126.68 78.77
Atoms (fractional coordinates):
S 0.906 0.906 0.575
W 0.000 0.000 0.000
Li 0.500 0.000 0.500
S 0.331 0.331 0.425
S 0.669 0.094 0.000
Li 0.000 0.500 0.500
S 0.094 0.669 0.000

Computed properties:
Its maximum piezoelectric response is 0.09 C/m2. The total moment comes out at 0.000 μB per formula unit.

*2*
This record from the Materials Project describes a relaxed structure of Li2WS4. The functional is PBE.

a b c (Å): 6.070 6.070 5.450
angles (deg): 90.00 90.00 90.00
Atoms (fractional coordinates):
Li 0.000 0.500 0.000
W 0.000 0.000 0.000
S 0.787 0.213 0.770
Li 0.500 0.000 0.000
S 0.213 0.213 0.230
S 0.787 0.787 0.230
S 0.213 0.787 0.770

Computed properties:
Its maximum piezoelectric response is 0.05 C/m2. The total moment comes out at 0.000 μB per formula unit.

*1* has the most favorable energy; the next structure is 0.005 eV/atom above.